1.
Below is Na3NbAlSi2PO12 after structural relaxation, with properties calculated at the PBE level.

The structure in POSCAR format:
```
Na3NbAlSi2PO12
1.0
8.8993 0.0302 -0.0634
-4.4235 7.7221 0.0634
-0.1614 0.0932 22.0951
O Al Nb Si P Na
72 6 6 12 6 18
Direct
0.3639 0.5132 0.0765
0.4868 0.6361 0.5765
0.4971 0.1490 0.9214
0.2076 0.0293 0.3102
0.5409 0.6960 0.9769
0.8510 0.5029 0.4214
0.8202 0.3028 0.2431
0.6330 0.4881 0.6406
0.6928 0.1620 0.0303
0.3624 0.8496 0.5768
0.4673 0.1663 0.5247
0.9663 0.1548 0.3073
0.1714 0.9739 0.1970
0.5007 0.1279 0.6437
0.1504 0.6376 0.0768
0.7981 0.9712 0.6894
0.8171 0.9710 0.4101
0.3594 0.4953 0.3637
0.2054 0.1660 0.8104
0.6954 0.5352 0.5228
0.4648 0.3046 0.0228
0.3040 0.4591 0.4769
0.1670 0.1993 0.6914
0.8337 0.5327 0.0247
0.0261 0.8286 0.6970
0.1786 0.7004 0.4739
0.3022 0.4782 0.7553
0.5119 0.3670 0.1406
0.5047 0.6406 0.8637
0.1674 0.4612 0.9770
0.8101 0.8290 0.9107
0.9722 0.1721 0.5881
0.1535 0.9695 0.9098
0.0305 0.8465 0.4098
0.4946 0.3612 0.4214
0.8377 0.5232 0.7440
0.6373 0.1257 0.1436
0.6388 0.5054 0.9214
0.1314 0.6379 0.3561
0.8452 0.0337 0.8073
0.6355 0.1449 0.4220
0.5003 0.8660 0.3581
0.8279 0.0278 0.0881
0.5388 0.8326 0.4770
0.0290 0.1829 0.9101
0.9688 0.8115 0.0887
0.1843 0.1695 0.0881
0.3621 0.8686 0.8561
0.8551 0.3645 0.9220
0.4838 0.3043 0.7434
0.0288 0.2019 0.1894
0.8340 0.7946 0.3104
0.1435 0.4957 0.5773
0.8007 0.8330 0.1914
0.8721 0.4993 0.1437
0.5176 0.8362 0.7548
0.1340 0.4997 0.8581
0.1638 0.4824 0.2548
0.8743 0.3627 0.6436
0.8305 0.8157 0.5881
0.1613 0.6945 0.7548
0.4768 0.1623 0.2440
0.6957 0.5162 0.2434
0.5218 0.6978 0.2553
0.2996 0.8214 0.9739
0.6972 0.1798 0.7431
0.3055 0.8387 0.2548
0.5043 0.8565 0.0773
0.1710 0.1899 0.4107
0.1885 0.0312 0.5887
0.8380 0.3072 0.5303
0.9707 0.7924 0.8102
0.6737 0.3473 0.1866
0.9860 0.9930 0.3533
0.3403 0.6806 0.5200
0.3194 0.6597 0.0200
0.0070 0.0140 0.8533
0.6527 0.3263 0.6866
0.9966 0.9949 0.6457
0.0051 0.0034 0.1457
0.6717 0.3367 0.4790
0.3299 0.6616 0.3124
0.3384 0.6701 0.8124
0.6633 0.3283 0.9790
0.7112 0.7038 0.2519
0.6599 0.6172 0.5851
0.7161 0.0068 0.7518
0.6295 0.9554 0.4185
0.3828 0.3401 0.0851
0.2962 0.2888 0.7519
0.0446 0.3705 0.9185
0.9629 0.6221 0.0852
0.3265 0.9506 0.9185
0.0494 0.6735 0.4185
0.3779 0.0371 0.5852
0.9932 0.2839 0.2518
0.9612 0.3450 0.5872
0.3217 0.3721 0.4205
0.6550 0.0388 0.0872
0.6279 0.6783 0.9205
0.9884 0.7054 0.7539
0.2946 0.0116 0.2539
0.0047 0.0020 0.9947
0.9928 0.3588 0.7493
0.6594 0.6922 0.0826
0.3727 0.0084 0.7484
0.3249 0.2940 0.9150
0.3261 0.0255 0.4159
0.3078 0.3406 0.5826
0.6713 0.3354 0.3281
0.3380 0.6687 0.6614
0.9980 0.9953 0.4947
0.9745 0.6739 0.9159
0.6583 0.9606 0.5817
0.3313 0.6620 0.1614
0.0394 0.3417 0.0817
0.9916 0.6273 0.2484
0.7060 0.6751 0.4150
0.6412 0.0072 0.2493
0.6646 0.3287 0.8281
```

## Properties
* E_form: -2.911 eV per atom
* energy above the lowest structure with this stoichiometry: 2 meV/atom
* total moment: 0.00 Bohr magnetons per cell

2.
Below is Na4Nb3AlSi4P2O24 after structural relaxation, with properties calculated at the PBE level.

The structure in POSCAR format:
```
Na4Nb3AlSi4P2O24
1.0
8.8787 0.0000 0.0000
4.4314 7.6969 0.0000
0.0555 0.0453 22.5602
Na Nb Al Si P O
12 9 3 12 6 72
Direct
0.0000 0.0000 0.0000
0.0005 0.3518 0.7487
0.9998 0.3543 0.2422
0.2969 0.3929 0.6636
0.3291 0.6992 0.5818
0.3362 0.3261 0.3295
0.3408 0.6936 0.0822
0.3588 0.3648 0.0001
0.6665 0.0208 0.9131
0.6739 0.0258 0.4150
0.6737 0.6560 0.6627
0.6964 0.7015 0.3307
0.0036 0.3595 0.3972
0.3258 0.6998 0.2258
0.3317 0.6971 0.4389
0.3329 0.6981 0.7298
0.3375 0.6952 0.9370
0.6582 0.0294 0.5601
0.6617 0.0365 0.7710
0.6656 0.0236 0.0624
0.9993 0.3621 0.8944
0.9995 0.3608 0.0998
0.6708 0.0236 0.2667
0.9990 0.3554 0.6016
0.0344 0.7075 0.3313
0.0417 0.9856 0.8334
0.2804 0.0785 0.0032
0.2814 0.3633 0.5037
0.3305 0.4063 0.8328
0.3362 0.9854 0.3307
0.3638 0.0361 0.6647
0.6263 0.6939 0.8320
0.6788 0.3153 0.6638
0.7175 0.3664 0.0038
0.7178 0.6431 0.5030
0.9979 0.6414 0.0030
0.9996 0.0776 0.5023
0.3739 0.3112 0.1683
0.6215 0.4006 0.3309
0.6767 0.7318 0.1685
0.9466 0.0392 0.1678
0.9542 0.7382 0.6649
0.0211 0.5274 0.3391
0.0261 0.1735 0.8388
0.0301 0.1605 0.5555
0.0397 0.5167 0.0588
0.1312 0.8656 0.8925
0.1328 0.8664 0.1737
0.1370 0.7247 0.3890
0.1396 0.7155 0.6709
0.1583 0.1643 0.0592
0.1607 0.3861 0.8380
0.1628 0.1770 0.3382
0.1632 0.8937 0.4926
0.1645 0.3902 0.5605
0.1669 0.6711 0.9939
0.1666 0.8895 0.7756
0.1722 0.6574 0.2756
0.1809 0.2104 0.6566
0.1939 0.3334 0.1603
0.1989 0.3308 0.4416
0.2033 0.1973 0.9430
0.3035 0.8847 0.9941
0.3045 0.5227 0.7731
0.3054 0.8859 0.2746
0.3073 0.5322 0.4916
0.3609 0.8534 0.6705
0.3625 0.4938 0.8917
0.3618 0.4950 0.1738
0.3714 0.8570 0.3880
0.4663 0.0617 0.7213
0.4681 0.2005 0.2235
0.4763 0.0578 0.0090
0.4783 0.1915 0.5057
0.4909 0.2289 0.1116
0.4960 0.5051 0.6710
0.5003 0.7250 0.8894
0.5023 0.9913 0.6087
0.5054 0.0089 0.3218
0.5045 0.2160 0.8264
0.5046 0.4863 0.3865
0.5061 0.7184 0.1735
0.5168 0.5268 0.9945
0.5218 0.6694 0.4913
0.5340 0.6646 0.7732
0.5369 0.5247 0.2772
0.6350 0.2220 0.6087
0.6358 0.2229 0.3227
0.6412 0.8544 0.1131
0.6422 0.8660 0.8245
0.6902 0.1922 0.0096
0.6932 0.8250 0.2236
0.6971 0.8377 0.5057
0.6986 0.1952 0.7222
0.8005 0.3893 0.3388
0.8052 0.5258 0.5602
0.8067 0.3921 0.0604
0.8126 0.5207 0.8383
0.8294 0.5567 0.4408
0.8321 0.8433 0.0088
0.8343 0.0541 0.2216
0.8350 0.5534 0.1597
0.8368 0.3209 0.9434
0.8383 0.8236 0.7199
0.8391 0.0536 0.5060
0.8414 0.3461 0.6574
0.8418 0.8699 0.3220
0.8542 0.9991 0.8252
0.8695 0.8549 0.6100
0.8701 0.0011 0.1107
0.9652 0.5613 0.9422
0.9730 0.1874 0.4446
0.9735 0.1942 0.1603
0.9743 0.5569 0.6593
```

## Properties
* E_form: -2.957 eV per atom
* total moment: 0.00 Bohr magnetons per cell

3.
Below is Na7Nb2Al2Si5PO24 after structural relaxation, with properties calculated at the PBE level.

The structure in POSCAR format:
```
Na7Nb2Al2Si5PO24
1.0
8.9405 0.0000 0.0000
4.4631 7.7520 0.0000
0.0037 0.0908 22.1745
Na Nb Al Si P O
21 6 6 15 3 72
Direct
0.0000 0.0000 0.0000
0.0000 0.2662 0.4997
0.0057 0.6240 0.7532
0.0452 0.9306 0.6668
0.0476 0.2859 0.1659
0.3085 0.6642 0.1675
0.3118 0.2891 0.6662
0.3330 0.3339 0.3327
0.3338 0.5990 0.8328
0.3423 0.9615 0.5856
0.3466 0.9645 0.0866
0.3780 0.2648 0.0006
0.3797 0.6195 0.5000
0.6438 0.9997 0.5001
0.6467 0.6213 0.9988
0.6678 0.6660 0.6665
0.6751 0.3025 0.4183
0.6816 0.2958 0.9179
0.7126 0.9548 0.8327
0.9794 0.9541 0.3328
0.9980 0.6317 0.2524
0.0072 0.6289 0.6012
0.0079 0.6315 0.1017
0.3376 0.9597 0.9348
0.3387 0.9588 0.4345
0.6742 0.2973 0.2682
0.6820 0.2963 0.7683
0.0012 0.6305 0.8966
0.0101 0.6222 0.3964
0.3349 0.9697 0.2296
0.3435 0.9558 0.7285
0.6741 0.2953 0.5623
0.6760 0.2876 0.0614
0.0000 0.3448 0.9964
0.9995 0.9210 0.4950
0.0506 0.2611 0.3293
0.0537 0.9557 0.8287
0.3011 0.6196 0.9954
0.3024 0.3414 0.4959
0.3362 0.6751 0.3281
0.3894 0.5865 0.6629
0.3924 0.2805 0.1625
0.6386 0.6728 0.8293
0.6669 0.0101 0.6632
0.7214 0.9218 0.9956
0.7231 0.6211 0.4953
0.9654 0.0081 0.1628
0.9701 0.2871 0.6618
0.3323 0.2545 0.8293
0.6313 0.9524 0.3288
0.6672 0.5902 0.1630
0.0354 0.7848 0.8379
0.0356 0.4468 0.3390
0.0435 0.4246 0.0578
0.0442 0.7955 0.5559
0.1404 0.1302 0.3893
0.1397 0.9926 0.8898
0.1584 0.9827 0.1713
0.1598 0.1217 0.6729
0.1653 0.6561 0.3376
0.1737 0.1646 0.2724
0.1744 0.6645 0.0559
0.1750 0.4244 0.5562
0.1770 0.9289 0.7718
0.1779 0.1515 0.9918
0.1784 0.9362 0.4923
0.1788 0.4357 0.8372
0.1960 0.6031 0.6593
0.1966 0.4615 0.1591
0.2081 0.5919 0.9378
0.2104 0.4638 0.4385
0.3098 0.7985 0.2714
0.3137 0.1640 0.7737
0.3159 0.7984 0.9926
0.3191 0.1483 0.4916
0.3620 0.1187 0.1725
0.3653 0.7778 0.6714
0.3705 0.1363 0.8868
0.3726 0.7608 0.3896
0.4718 0.4609 0.7234
0.4742 0.3281 0.2227
0.4926 0.3186 0.5052
0.4931 0.4565 0.0058
0.4992 0.9869 0.6724
0.5021 0.2674 0.8263
0.5054 0.2689 0.1042
0.5080 0.4786 0.3253
0.5090 0.7625 0.8894
0.5092 0.7646 0.1726
0.5106 0.4943 0.6052
0.5167 0.9930 0.3874
0.5279 0.9398 0.9915
0.5306 0.7993 0.4918
0.5380 0.9342 0.2754
0.5417 0.7963 0.7719
0.6392 0.1304 0.6050
0.6413 0.4858 0.8264
0.6408 0.5034 0.1073
0.6463 0.1228 0.3251
0.6982 0.1121 0.0050
0.6981 0.4550 0.5051
0.7052 0.4658 0.2192
0.7091 0.0936 0.7234
0.8036 0.6646 0.5570
0.8087 0.7901 0.0546
0.8149 0.8003 0.3372
0.8249 0.6568 0.8389
0.8331 0.3203 0.0061
0.8345 0.1118 0.5044
0.8385 0.3308 0.7210
0.8388 0.5967 0.1598
0.8428 0.8320 0.9380
0.8437 0.0977 0.2235
0.8442 0.8171 0.6595
0.8505 0.5927 0.4405
0.8573 0.1276 0.8264
0.8631 0.2654 0.3257
0.8735 0.1326 0.1054
0.8769 0.2576 0.6045
0.9714 0.4711 0.9408
0.9732 0.8271 0.4375
0.9831 0.4650 0.6596
0.9871 0.8128 0.1596
```

## Properties
* E_form: -2.914 eV per atom
* total moment: 0.00 Bohr magnetons per cell